The following is a r2SCAN calculation of an optimized crystal structure of Th2C3, from the Materials Project database.

The structure belongs to space group I-43d (No. 220); the cell edges are 8.566, 8.566 and 8.566 Å and the angles 90.00°, 90.00° and 90.00°. The inequivalent atoms are Th at (0.047, 0.453, 0.547) and C at (0.000, 0.250, 0.792).

The calculation puts the formation energy at -1.92 eV/f.u.